{
  "formula": "EuP2Rh2",
  "functional": "PBE-GGA",
  "state": "optimized geometry",
  "cell": [[4.048, 0.000, 0.000], [0.000, 4.048, 0.000], [0.000, 0.000, 9.974]],
  "species": ["Eu", "Eu", "P", "P", "P", "P", "Rh", "Rh", "Rh", "Rh"],
  "fractional_positions": [[0.000, 0.000, 0.000], [0.500, 0.500, 0.500], [0.000, 0.000, 0.385], [0.000, 0.000, 0.615], [0.500, 0.500, 0.115], [0.500, 0.500, 0.885], [0.000, 0.500, 0.250], [0.000, 0.500, 0.750], [0.500, 0.000, 0.250], [0.500, 0.000, 0.750]],
  "dft_energy_ev_per_cell": -81.45,
  "crystal_system": "tetragonal",
  "e_form_ev_per_fu": -4.91
}